a) The following is a DFT calculation (GGA+U) of a relaxed Na3CoO3 crystal.

Crystal system: tetragonal

```
data_Na3CoO3
_chemical_formula_sum 'Na12 Co4 O12'
_symmetry_space_group_name_H-M 'P 1'
_symmetry_Int_Tables_number 1
_cell_length_a 9.1814
_cell_length_b 9.1814
_cell_length_c 4.5015
_cell_angle_alpha 90.00
_cell_angle_beta 90.00
_cell_angle_gamma 90.00
loop_
_symmetry_equiv_pos_as_xyz
'x,y,z'
loop_
_atom_site_label
_atom_site_type_symbol
_atom_site_fract_x
_atom_site_fract_y
_atom_site_fract_z
Na1 Na 0.1293 0.3712 0.0000
Na2 Na 0.1288 0.6293 0.5000
Na3 Na 0.1457 0.1457 0.5000
Na4 Na 0.3543 0.6457 0.0000
Na5 Na 0.3712 0.1293 0.0000
Na6 Na 0.3707 0.8712 0.5000
Na7 Na 0.6293 0.1288 0.5000
Na8 Na 0.6288 0.8707 0.0000
Na9 Na 0.6457 0.3543 0.0000
Na10 Na 0.8543 0.8543 0.5000
Na11 Na 0.8712 0.3707 0.5000
Na12 Na 0.8707 0.6288 0.0000
Co1 Co 0.1142 0.8858 0.0000
Co2 Co 0.3858 0.3858 0.5000
Co3 Co 0.6142 0.6142 0.5000
Co4 Co 0.8858 0.1142 0.0000
O1 O 0.0954 0.0954 0.0000
O2 O 0.1047 0.6906 0.0000
O3 O 0.1906 0.3953 0.5000
O4 O 0.3094 0.8953 0.0000
O5 O 0.3953 0.1906 0.5000
O6 O 0.4046 0.5954 0.5000
O7 O 0.5954 0.4046 0.5000
O8 O 0.6047 0.8094 0.5000
O9 O 0.6906 0.1047 0.0000
O10 O 0.8094 0.6047 0.5000
O11 O 0.8953 0.3094 0.0000
O12 O 0.9046 0.9046 0.0000
```

b) The following is a DFT calculation (GGA+U) of a relaxed Na3CoO3 crystal.

Crystal system: orthorhombic

```
data_Na3CoO3
_chemical_formula_sum 'Na12 Co4 O12'
_symmetry_space_group_name_H-M 'P 1'
_symmetry_Int_Tables_number 1
_cell_length_a 9.0620
_cell_length_b 9.2302
_cell_length_c 4.5160
_cell_angle_alpha 90.00
_cell_angle_beta 90.00
_cell_angle_gamma 90.00
loop_
_symmetry_equiv_pos_as_xyz
'x,y,z'
loop_
_atom_site_label
_atom_site_type_symbol
_atom_site_fract_x
_atom_site_fract_y
_atom_site_fract_z
Na1 Na 0.1262 0.1300 0.0000
Na2 Na 0.1297 0.8734 0.5000
Na3 Na 0.1445 0.6451 0.0000
Na4 Na 0.3555 0.1451 0.5000
Na5 Na 0.3703 0.3734 0.0000
Na6 Na 0.3738 0.6300 0.5000
Na7 Na 0.6262 0.3700 0.5000
Na8 Na 0.6297 0.6266 0.0000
Na9 Na 0.6445 0.8549 0.5000
Na10 Na 0.8555 0.3549 0.0000
Na11 Na 0.8703 0.1266 0.5000
Na12 Na 0.8738 0.8700 0.0000
Co1 Co 0.1135 0.3860 0.5000
Co2 Co 0.3865 0.8860 0.0000
Co3 Co 0.6135 0.1140 0.0000
Co4 Co 0.8865 0.6140 0.5000
O1 O 0.0919 0.5972 0.5000
O2 O 0.1057 0.1884 0.5000
O3 O 0.1909 0.8944 0.0000
O4 O 0.3091 0.3944 0.5000
O5 O 0.3943 0.6884 0.0000
O6 O 0.4081 0.0972 0.0000
O7 O 0.5919 0.9028 0.0000
O8 O 0.6057 0.3116 0.0000
O9 O 0.6909 0.6056 0.5000
O10 O 0.8091 0.1056 0.0000
O11 O 0.8943 0.8116 0.5000
O12 O 0.9081 0.4028 0.5000
```

Computed relative energies in units of kJ/mol of atoms: a) 5.5; b) 0.0

a) The following is a DFT calculation (GGA+U) of a relaxed MgFe3Co5O16 crystal.

Crystal system: triclinic

```
data_MgFe3Co5O16
_chemical_formula_sum 'Mg1 Fe3 Co5 O16'
_symmetry_space_group_name_H-M 'P 1'
_symmetry_Int_Tables_number 1
_cell_length_a 5.7198
_cell_length_b 5.8043
_cell_length_c 8.9079
_cell_angle_alpha 90.51
_cell_angle_beta 90.85
_cell_angle_gamma 118.76
loop_
_symmetry_equiv_pos_as_xyz
'x,y,z'
loop_
_atom_site_label
_atom_site_type_symbol
_atom_site_fract_x
_atom_site_fract_y
_atom_site_fract_z
Mg1 Mg 0.0000 0.0000 0.0000
Fe1 Fe 0.0067 0.4980 0.2577
Fe2 Fe 0.3331 0.6622 0.7522
Fe3 Fe 0.8254 0.6458 0.7428
Co1 Co 0.0140 0.0048 0.2864
Co2 Co 0.3388 0.1651 0.7493
Co3 Co 0.5094 0.9864 0.2594
Co4 Co 0.5100 0.4931 0.0351
Co5 Co 0.8286 0.1627 0.5337
O1 O 0.1232 0.2911 0.4049
O2 O 0.1589 0.8401 0.8568
O3 O 0.1874 0.8405 0.3677
O4 O 0.2136 0.3363 0.8918
O5 O 0.3311 0.1508 0.1537
O6 O 0.3540 0.6590 0.1519
O7 O 0.4968 0.4770 0.6405
O8 O 0.5105 0.0101 0.6510
O9 O 0.6314 0.3323 0.8922
O10 O 0.6528 0.7723 0.8932
O11 O 0.6776 0.2824 0.3890
O12 O 0.6932 0.8701 0.3947
O13 O 0.8421 0.1380 0.1584
O14 O 0.8462 0.6772 0.1444
O15 O 0.9913 0.4850 0.6399
O16 O 0.9984 0.0125 0.6509
```

b) The following is a DFT calculation (GGA+U) of a relaxed MgFe3Co5O16 crystal.

Crystal system: triclinic

```
data_MgFe3Co5O16
_chemical_formula_sum 'Mg1 Fe3 Co5 O16'
_symmetry_space_group_name_H-M 'P 1'
_symmetry_Int_Tables_number 1
_cell_length_a 5.8010
_cell_length_b 5.8057
_cell_length_c 8.9056
_cell_angle_alpha 87.91
_cell_angle_beta 87.87
_cell_angle_gamma 60.09
loop_
_symmetry_equiv_pos_as_xyz
'x,y,z'
loop_
_atom_site_label
_atom_site_type_symbol
_atom_site_fract_x
_atom_site_fract_y
_atom_site_fract_z
Mg1 Mg 0.0000 0.0000 0.0000
Fe1 Fe 0.0203 0.0191 0.7018
Fe2 Fe 0.3510 0.8338 0.2569
Fe3 Fe 0.8364 0.3490 0.2580
Co1 Co 0.0210 0.5171 0.7462
Co2 Co 0.3411 0.3377 0.2490
Co3 Co 0.5190 0.0190 0.7459
Co4 Co 0.5189 0.5183 0.9656
Co5 Co 0.8383 0.8344 0.4700
O1 O 0.0000 0.9966 0.3602
O2 O 0.0007 0.5244 0.3547
O3 O 0.1357 0.6824 0.5993
O4 O 0.1697 0.1627 0.1430
O5 O 0.2012 0.1996 0.6344
O6 O 0.2267 0.6552 0.1041
O7 O 0.3425 0.8513 0.8505
O8 O 0.3494 0.3483 0.8456
O9 O 0.5016 0.5055 0.3644
O10 O 0.5282 0.9948 0.3546
O11 O 0.6537 0.2263 0.1043
O12 O 0.6545 0.6534 0.1041
O13 O 0.6843 0.1333 0.5985
O14 O 0.7041 0.7018 0.6275
O15 O 0.8531 0.3407 0.8508
O16 O 0.8529 0.8517 0.8452
```

Computed relative energies in units of kJ/mol of atoms: a) 0.0; b) 3.8

a) The following is a DFT calculation (GGA+U) of a relaxed MgFe3Co5O16 crystal.

Crystal system: triclinic

```
data_MgFe3Co5O16
_chemical_formula_sum 'Mg1 Fe3 Co5 O16'
_symmetry_space_group_name_H-M 'P 1'
_symmetry_Int_Tables_number 1
_cell_length_a 5.7330
_cell_length_b 5.7491
_cell_length_c 9.2434
_cell_angle_alpha 88.09
_cell_angle_beta 87.98
_cell_angle_gamma 60.46
loop_
_symmetry_equiv_pos_as_xyz
'x,y,z'
loop_
_atom_site_label
_atom_site_type_symbol
_atom_site_fract_x
_atom_site_fract_y
_atom_site_fract_z
Mg1 Mg 0.0000 0.0000 0.0000
Fe1 Fe 0.1644 0.6575 0.7264
Fe2 Fe 0.5010 0.5023 0.2245
Fe3 Fe 0.6575 0.1580 0.7247
Co1 Co 0.0058 0.0072 0.4009
Co2 Co 0.0079 0.5025 0.2329
Co3 Co 0.1592 0.1534 0.7113
Co4 Co 0.5013 0.0089 0.2337
Co5 Co 0.6650 0.6626 0.5097
O1 O 0.0005 0.9959 0.6003
O2 O 0.1600 0.6656 0.1298
O3 O 0.1750 0.1754 0.1441
O4 O 0.2898 0.8547 0.8310
O5 O 0.3094 0.3117 0.8231
O6 O 0.3283 0.3323 0.3394
O7 O 0.3747 0.8201 0.3654
O8 O 0.4906 0.9968 0.6057
O9 O 0.4940 0.4950 0.6076
O10 O 0.6669 0.1600 0.1316
O11 O 0.6783 0.6800 0.1304
O12 O 0.8153 0.8152 0.3592
O13 O 0.8199 0.3748 0.3657
O14 O 0.8468 0.8435 0.8398
O15 O 0.8512 0.2877 0.8288
O16 O 0.9877 0.4953 0.6073
```

b) The following is a DFT calculation (GGA+U) of a relaxed MgFe3Co5O16 crystal.

Crystal system: triclinic

```
data_MgFe3Co5O16
_chemical_formula_sum 'Mg1 Fe3 Co5 O16'
_symmetry_space_group_name_H-M 'P 1'
_symmetry_Int_Tables_number 1
_cell_length_a 5.7714
_cell_length_b 5.7802
_cell_length_c 8.9137
_cell_angle_alpha 89.55
_cell_angle_beta 89.30
_cell_angle_gamma 60.92
loop_
_symmetry_equiv_pos_as_xyz
'x,y,z'
loop_
_atom_site_label
_atom_site_type_symbol
_atom_site_fract_x
_atom_site_fract_y
_atom_site_fract_z
Mg1 Mg 0.0000 0.0000 0.0000
Fe1 Fe 0.0053 0.5014 0.2603
Fe2 Fe 0.3342 0.3308 0.7536
Fe3 Fe 0.4998 0.0013 0.2586
Co1 Co 0.3432 0.8250 0.7485
Co2 Co 0.5029 0.5037 0.0332
Co3 Co 0.8289 0.3402 0.7484
Co4 Co 0.8335 0.8287 0.5412
Co5 Co 0.9949 0.0023 0.2889
O1 O 0.9999 0.9947 0.6564
O2 O 0.1234 0.7023 0.4057
O3 O 0.1590 0.1563 0.8583
O4 O 0.1639 0.1646 0.3697
O5 O 0.2171 0.6578 0.8906
O6 O 0.3251 0.8344 0.1461
O7 O 0.3438 0.3460 0.1502
O8 O 0.5099 0.5053 0.6448
O9 O 0.5097 0.9842 0.6491
O10 O 0.6461 0.6435 0.8776
O11 O 0.6594 0.2156 0.8908
O12 O 0.7009 0.6875 0.3986
O13 O 0.7046 0.1205 0.4068
O14 O 0.8337 0.3277 0.1473
O15 O 0.8522 0.8503 0.1572
O16 O 0.9893 0.5054 0.6497
```

Computed relative energies in units of kJ/mol of atoms: a) 3.2; b) 0.0

a) The following is a DFT calculation (GGA+U) of a relaxed MgV12Zn6O24 crystal.

Crystal system: triclinic

```
data_MgV12Zn6O24
_chemical_formula_sum 'Mg1 V12 Zn6 O24'
_symmetry_space_group_name_H-M 'P 1'
_symmetry_Int_Tables_number 1
_cell_length_a 6.1067
_cell_length_b 6.1413
_cell_length_c 15.0966
_cell_angle_alpha 88.50
_cell_angle_beta 89.95
_cell_angle_gamma 60.31
loop_
_symmetry_equiv_pos_as_xyz
'x,y,z'
loop_
_atom_site_label
_atom_site_type_symbol
_atom_site_fract_x
_atom_site_fract_y
_atom_site_fract_z
Mg1 Mg 0.0000 0.0000 0.0000
V1 V 0.0364 0.4271 0.6152
V2 V 0.0370 0.9281 0.6152
V3 V 0.1993 0.1100 0.2900
V4 V 0.1999 0.6032 0.4097
V5 V 0.2149 0.5738 0.7806
V6 V 0.3711 0.2604 0.9507
V7 V 0.4246 0.7209 0.9366
V8 V 0.5128 0.9730 0.1203
V9 V 0.5391 0.4273 0.6150
V10 V 0.6923 0.1093 0.2906
V11 V 0.6917 0.6195 0.2911
V12 V 0.8568 0.7184 0.9367
Zn1 Zn 0.1926 0.6151 0.1600
Zn2 Zn 0.5335 0.9350 0.5001
Zn3 Zn 0.5394 0.9244 0.7349
Zn4 Zn 0.8185 0.3587 0.1031
Zn5 Zn 0.8668 0.2693 0.4545
Zn6 Zn 0.8807 0.2413 0.8148
O1 O 0.0202 0.9526 0.3638
O2 O 0.0305 0.4264 0.3650
O3 O 0.0555 0.8915 0.8730
O4 O 0.0582 0.4212 0.8611
O5 O 0.1792 0.1104 0.5419
O6 O 0.1867 0.6277 0.0231
O7 O 0.1921 0.1364 0.0454
O8 O 0.2007 0.6015 0.5386
O9 O 0.3589 0.2845 0.6909
O10 O 0.3589 0.7377 0.6944
O11 O 0.3661 0.8083 0.2083
O12 O 0.3761 0.2610 0.2130
O13 O 0.5237 0.4226 0.8613
O14 O 0.5321 0.9379 0.3624
O15 O 0.5367 0.9301 0.8688
O16 O 0.5464 0.4373 0.3652
O17 O 0.6687 0.6618 0.0354
O18 O 0.6725 0.1363 0.0460
O19 O 0.7121 0.1111 0.5418
O20 O 0.7136 0.5769 0.5414
O21 O 0.8252 0.7940 0.2077
O22 O 0.8557 0.2879 0.2259
O23 O 0.8746 0.2528 0.6859
O24 O 0.9067 0.7376 0.6948
```

b) The following is a DFT calculation (GGA+U) of a relaxed MgV12Zn6O24 crystal.

Crystal system: triclinic

```
data_MgV12Zn6O24
_chemical_formula_sum 'Mg1 V12 Zn6 O24'
_symmetry_space_group_name_H-M 'P 1'
_symmetry_Int_Tables_number 1
_cell_length_a 6.0312
_cell_length_b 6.0626
_cell_length_c 15.1372
_cell_angle_alpha 83.94
_cell_angle_beta 89.89
_cell_angle_gamma 60.41
loop_
_symmetry_equiv_pos_as_xyz
'x,y,z'
loop_
_atom_site_label
_atom_site_type_symbol
_atom_site_fract_x
_atom_site_fract_y
_atom_site_fract_z
Mg1 Mg 0.0000 0.0000 0.0000
V1 V 0.0011 0.4972 0.0230
V2 V 0.0157 0.9527 0.1746
V3 V 0.1294 0.2700 0.6639
V4 V 0.2606 0.4959 0.4983
V5 V 0.2606 0.9966 0.4977
V6 V 0.3909 0.7227 0.3332
V7 V 0.4981 0.0460 0.8245
V8 V 0.5182 0.4550 0.1622
V9 V 0.5211 0.9553 0.1737
V10 V 0.7611 0.4974 0.4981
V11 V 0.9873 0.0397 0.8248
V12 V 0.9896 0.5496 0.8282
Zn1 Zn 0.0419 0.4096 0.2910
Zn2 Zn 0.4729 0.5899 0.7034
Zn3 Zn 0.5032 0.5053 0.9450
Zn4 Zn 0.5039 0.0025 0.0025
Zn5 Zn 0.7341 0.0466 0.3753
Zn6 Zn 0.7856 0.9499 0.6188
O1 O 0.0806 0.3607 0.4262
O2 O 0.1035 0.8502 0.4208
O3 O 0.1313 0.6892 0.9227
O4 O 0.1633 0.1889 0.9143
O5 O 0.2067 0.0599 0.2528
O6 O 0.2145 0.6041 0.2461
O7 O 0.3000 0.3947 0.7517
O8 O 0.3083 0.9328 0.7492
O9 O 0.3268 0.8211 0.0899
O10 O 0.3480 0.3145 0.0808
O11 O 0.4159 0.1418 0.5778
O12 O 0.4409 0.6329 0.5707
O13 O 0.5593 0.3905 0.4184
O14 O 0.5709 0.8419 0.4216
O15 O 0.6729 0.5930 0.2468
O16 O 0.6756 0.1601 0.9111
O17 O 0.6866 0.6931 0.9203
O18 O 0.7033 0.1107 0.2409
O19 O 0.8069 0.8919 0.7541
O20 O 0.8413 0.3989 0.7501
O21 O 0.8421 0.3058 0.0779
O22 O 0.8445 0.8250 0.0849
O23 O 0.9522 0.1524 0.5762
O24 O 0.9630 0.6013 0.5799
```

Computed relative energies in units of kJ/mol of atoms: a) 3.7; b) 0.0

a) The following is a DFT calculation (GGA+U) of a relaxed MgTi2Co4O8 crystal.

Crystal system: triclinic

```
data_MgTi2Co4O8
_chemical_formula_sum 'Mg1 Ti2 Co4 O8'
_symmetry_space_group_name_H-M 'P 1'
_symmetry_Int_Tables_number 1
_cell_length_a 5.9470
_cell_length_b 5.9812
_cell_length_c 6.3356
_cell_angle_alpha 117.90
_cell_angle_beta 90.11
_cell_angle_gamma 119.80
loop_
_symmetry_equiv_pos_as_xyz
'x,y,z'
loop_
_atom_site_label
_atom_site_type_symbol
_atom_site_fract_x
_atom_site_fract_y
_atom_site_fract_z
Mg1 Mg 0.0000 0.0000 0.0000
Ti1 Ti 0.0000 0.5000 0.0000
Ti2 Ti 0.5000 0.5000 0.0000
Co1 Co 0.1462 0.2924 0.4619
Co2 Co 0.5000 0.0000 0.0000
Co3 Co 0.5000 0.0000 0.5000
Co4 Co 0.8538 0.7076 0.5381
O1 O 0.2292 0.9597 0.2233
O2 O 0.2391 0.4775 0.2141
O3 O 0.2663 0.5333 0.8118
O4 O 0.2686 0.0406 0.7774
O5 O 0.7314 0.9594 0.2226
O6 O 0.7337 0.4667 0.1882
O7 O 0.7609 0.5225 0.7859
O8 O 0.7708 0.0403 0.7767
```

b) The following is a DFT calculation (GGA+U) of a relaxed MgTi2Co4O8 crystal.

Crystal system: triclinic

```
data_MgTi2Co4O8
_chemical_formula_sum 'Mg1 Ti2 Co4 O8'
_symmetry_space_group_name_H-M 'P 1'
_symmetry_Int_Tables_number 1
_cell_length_a 5.9551
_cell_length_b 5.9645
_cell_length_c 6.2817
_cell_angle_alpha 89.38
_cell_angle_beta 61.76
_cell_angle_gamma 60.09
loop_
_symmetry_equiv_pos_as_xyz
'x,y,z'
loop_
_atom_site_label
_atom_site_type_symbol
_atom_site_fract_x
_atom_site_fract_y
_atom_site_fract_z
Mg1 Mg 0.0000 0.0000 0.0000
Ti1 Ti 0.0518 0.4598 0.4340
Ti2 Ti 0.5469 0.9724 0.9334
Co1 Co 0.3005 0.8775 0.5167
Co2 Co 0.5048 0.5087 0.9822
Co3 Co 0.6830 0.1643 0.4602
Co4 Co 0.9990 0.5098 0.9842
O1 O 0.0092 0.7326 0.2449
O2 O 0.0394 0.2318 0.2148
O3 O 0.4503 0.2796 0.8138
O4 O 0.4800 0.7851 0.7449
O5 O 0.5131 0.2298 0.2117
O6 O 0.5439 0.7474 0.1618
O7 O 0.9867 0.7866 0.7448
O8 O 0.9955 0.2930 0.7150
```

Computed relative energies in units of kJ/mol of atoms: a) 0.0; b) 4.6

a) The following is a DFT calculation (GGA+U) of a relaxed MnTeMoO6 crystal.

Crystal system: triclinic

```
data_MnTeMoO6
_chemical_formula_sum 'Mn2 Te2 Mo2 O12'
_symmetry_space_group_name_H-M 'P 1'
_symmetry_Int_Tables_number 1
_cell_length_a 5.1405
_cell_length_b 5.4159
_cell_length_c 9.3027
_cell_angle_alpha 90.06
_cell_angle_beta 90.12
_cell_angle_gamma 90.63
loop_
_symmetry_equiv_pos_as_xyz
'x,y,z'
loop_
_atom_site_label
_atom_site_type_symbol
_atom_site_fract_x
_atom_site_fract_y
_atom_site_fract_z
Mn1 Mn 0.0000 0.0000 0.0000
Mn2 Mn 0.4997 0.4988 0.9369
Te1 Te 0.4995 0.9984 0.7251
Te2 Te 0.9994 0.4984 0.2076
Mo1 Mo 0.4992 0.9975 0.2667
Mo2 Mo 0.9994 0.4982 0.6564
O1 O 0.1565 0.2910 0.5442
O2 O 0.2146 0.6735 0.0727
O3 O 0.2406 0.1807 0.1679
O4 O 0.2602 0.6768 0.7579
O5 O 0.2794 0.1648 0.8595
O6 O 0.3389 0.7913 0.3798
O7 O 0.6591 0.2052 0.3795
O8 O 0.7198 0.8329 0.8600
O9 O 0.7387 0.3204 0.7576
O10 O 0.7583 0.8142 0.1686
O11 O 0.7841 0.3225 0.0722
O12 O 0.8420 0.7053 0.5443
```

b) The following is a DFT calculation (GGA+U) of a relaxed MnTeMoO6 crystal.

Crystal system: orthorhombic

```
data_MnTeMoO6
_chemical_formula_sum 'Mn2 Te2 Mo2 O12'
_symmetry_space_group_name_H-M 'P 1'
_symmetry_Int_Tables_number 1
_cell_length_a 5.1815
_cell_length_b 5.4048
_cell_length_c 9.3547
_cell_angle_alpha 90.00
_cell_angle_beta 90.00
_cell_angle_gamma 90.00
loop_
_symmetry_equiv_pos_as_xyz
'x,y,z'
loop_
_atom_site_label
_atom_site_type_symbol
_atom_site_fract_x
_atom_site_fract_y
_atom_site_fract_z
Mn1 Mn 0.0000 0.0000 0.0266
Mn2 Mn 0.5000 0.5000 0.9734
Te1 Te 0.0000 0.5000 0.2431
Te2 Te 0.5000 0.0000 0.7569
Mo1 Mo 0.0000 0.5000 0.6939
Mo2 Mo 0.5000 0.0000 0.3061
O1 O 0.1602 0.2940 0.5822
O2 O 0.2134 0.6722 0.1087
O3 O 0.2453 0.1843 0.2063
O4 O 0.2547 0.6843 0.7937
O5 O 0.2866 0.1722 0.8913
O6 O 0.3398 0.7940 0.4178
O7 O 0.6602 0.2060 0.4178
O8 O 0.7134 0.8278 0.8913
O9 O 0.7453 0.3157 0.7937
O10 O 0.7547 0.8157 0.2063
O11 O 0.7866 0.3278 0.1087
O12 O 0.8398 0.7060 0.5822
```

Computed relative energies in units of kJ/mol of atoms: a) 0.6; b) 0.0